Compound: CaIrO3
Source: Materials Project
Functional: PBE
Structure: optimized geometry

Output
The raw total energy comes out at -6.521 eV/atom. Its theoretical density is 7.53 Mg/m³. Its space-group type is Pm-3m, No. 221. The calculation puts the volume at 61.8 Å³/cell.

Cell: 3.9535 3.9535 3.9535 Å, 90.00 90.00 90.00°
With the nearest neighbours (Å) after each atom.
Fractional coordinates of all 5 atoms:
Ca  0.0000  0.0000  0.0000  12 O 2.80
Ir  0.5000  0.5000  0.5000  6 O 1.98
O  0.0000  0.5000  0.5000  2 Ir 1.98
O  0.5000  0.0000  0.5000  2 Ir 1.98
O  0.5000  0.5000  0.0000  2 Ir 1.98

***

Compound: KBaAsSe3
Source: Materials Project
Functional: PBE
Structure: optimized geometry

Output
The raw total energy comes out at -4.139 eV/atom. Its theoretical density is 4.08 Mg/m³. Its space-group type is P2_1/c, No. 14. The calculation puts the volume at 794.2 Å³/cell.

Cell: 9.5575 9.2427 9.4666 Å, 90.00 108.24 90.00°
With the nearest neighbours (Å) after each atom.
Fractional coordinates of all 24 atoms:
K  0.0917  0.0802  0.2240  4 Se 3.33-3.62
K  0.0917  0.4198  0.7240  4 Se 3.33-3.62
K  0.9083  0.5802  0.2760  4 Se 3.33-3.62
K  0.9083  0.9198  0.7760  4 Se 3.33-3.62
Ba  0.4168  0.7148  0.4649  8 Se 3.32-3.66
Ba  0.4168  0.7852  0.9649  8 Se 3.32-3.66
Ba  0.5832  0.2148  0.0351  8 Se 3.32-3.66
Ba  0.5832  0.2852  0.5351  8 Se 3.32-3.66
As  0.2555  0.0430  0.6411  3 Se 2.41-2.48
As  0.2555  0.4570  0.1411  3 Se 2.41-2.48
As  0.7445  0.5430  0.8589  3 Se 2.41-2.48
As  0.7445  0.9570  0.3589  3 Se 2.41-2.48
Se  0.1447  0.6936  0.0948  1 As 2.41
Se  0.1447  0.8064  0.5948  1 As 2.41
Se  0.2292  0.1055  0.8790  1 As 2.41
Se  0.2292  0.3945  0.3790  1 As 2.41
Se  0.4773  0.0110  0.2773  1 As 2.48
Se  0.4773  0.4890  0.7773  1 As 2.48
Se  0.5227  0.5110  0.2227  1 As 2.48
Se  0.5227  0.9890  0.7227  1 As 2.48
Se  0.7708  0.6055  0.6210  1 As 2.41
Se  0.7708  0.8945  0.1210  1 As 2.41
Se  0.8553  0.1936  0.4052  1 As 2.41
Se  0.8553  0.3064  0.9052  1 As 2.41

***

Compound: LaSc3B4O12
Source: Materials Project
Functional: PBE
Structure: optimized geometry

Output
The raw total energy comes out at -8.561 eV/atom. Its theoretical density is 3.71 Mg/m³. Its space-group type is C2/c, No. 15. The calculation puts the volume at 456.0 Å³/cell.

Cell: 6.3212 6.3212 12.1883 Å, 99.51 99.51 103.69°
With the nearest neighbours (Å) after each atom.
Fractional coordinates of all 40 atoms:
La  0.0349  0.9651  0.7500  6 O 2.48-2.50
La  0.9651  0.0349  0.2500  6 O 2.48-2.50
Sc  0.2023  0.7018  0.4749  6 O 2.06-2.16
Sc  0.2982  0.7977  0.0251  6 O 2.06-2.16
Sc  0.4250  0.5750  0.2500  6 O 2.08-2.16
Sc  0.5750  0.4250  0.7500  6 O 2.08-2.16
Sc  0.7018  0.2023  0.9749  6 O 2.06-2.16
Sc  0.7977  0.2982  0.5251  6 O 2.06-2.16
B  0.1030  0.4936  0.7740  3 O 1.38-1.39
B  0.2215  0.2709  0.0005  3 O 1.39
B  0.2709  0.2215  0.5005  3 O 1.39
B  0.4936  0.1030  0.2740  3 O 1.38-1.39
B  0.5064  0.8970  0.7260  3 O 1.38-1.39
B  0.7291  0.7785  0.4995  3 O 1.39
B  0.7785  0.7291  0.9995  3 O 1.39
B  0.8970  0.5064  0.2260  3 O 1.38-1.39
O  0.0081  0.1897  0.9332  1 B 1.39
O  0.1094  0.5673  0.2945  1 B 1.39
O  0.1316  0.3615  0.4947  1 B 1.39
O  0.1674  0.6932  0.8523  1 B 1.38
O  0.1897  0.0081  0.4332  1 B 1.39
O  0.2406  0.3557  0.7593  1 B 1.38
O  0.2949  0.4840  0.0685  1 B 1.39
O  0.3068  0.8326  0.6477  1 B 1.38
O  0.3557  0.2406  0.2593  1 B 1.38
O  0.3615  0.1316  0.9947  1 B 1.39
O  0.4327  0.8906  0.2055  1 B 1.39
O  0.4840  0.2949  0.5685  1 B 1.39
O  0.5160  0.7051  0.4315  1 B 1.39
O  0.5673  0.1094  0.7945  1 B 1.39
O  0.6385  0.8684  0.0053  1 B 1.39
O  0.6443  0.7594  0.7407  1 B 1.38
O  0.6932  0.1674  0.3523  1 B 1.38
O  0.7051  0.5160  0.9315  1 B 1.39
O  0.7594  0.6443  0.2407  1 B 1.38
O  0.8103  0.9919  0.5668  1 B 1.39
O  0.8326  0.3068  0.1477  1 B 1.38
O  0.8684  0.6385  0.5053  1 B 1.39
O  0.8906  0.4327  0.7055  1 B 1.39
O  0.9919  0.8103  0.0668  1 B 1.39

***

Compound: Ba2UCu2S5
Source: Materials Project
Functional: PBE
Structure: optimized geometry

Output
The raw total energy comes out at -5.770 eV/atom. Its theoretical density is 5.64 Mg/m³. Its space-group type is C2/m, No. 12. The calculation puts the volume at 235.5 Å³/cell.

Cell: 7.1570 7.1570 9.3832 Å, 114.94 114.94 33.07°
With the nearest neighbours (Å) after each atom.
Fractional coordinates of all 10 atoms:
Ba  0.1762  0.1762  0.2006  7 S 3.09-3.41
Ba  0.8238  0.8238  0.7994  7 S 3.09-3.41
U  0.0000  0.0000  0.5000  6 S 2.67-2.75
Cu  0.4464  0.4464  0.2034  4 S 2.33-2.37
Cu  0.5536  0.5536  0.7966  4 S 2.33-2.37
S  0.1441  0.1441  0.8055  2 Cu 2.37
S  0.3898  0.3898  0.5635  1 Cu 2.35
S  0.5000  0.5000  0.0000  2 Cu 2.33
S  0.6102  0.6102  0.4365  1 Cu 2.35
S  0.8559  0.8559  0.1945  2 Cu 2.37

***

Compound: CrN2
Source: Materials Project
Functional: PBE
Structure: optimized geometry

Output
The raw total energy comes out at -8.527 eV/atom. Its theoretical density is 2.58 Mg/m³. Its space-group type is C2, No. 5. The calculation puts the volume at 205.8 Å³/cell.

Cell: 5.7803 5.7803 6.9707 Å, 106.96 106.96 98.75°
With the nearest neighbours (Å) after each atom.
Fractional coordinates of all 12 atoms:
Cr  0.0999  0.0999  0.3648  4 N 1.73-1.75
Cr  0.1077  0.4662  0.7773  4 N 1.72-1.77
Cr  0.5338  0.8923  0.2227  4 N 1.72-1.77
Cr  0.9001  0.9001  0.6352  4 N 1.73-1.75
N  0.1088  0.8912  0.5000  2 Cr 1.73
N  0.1844  0.4049  0.5481  2 Cr 1.73-1.74
N  0.3168  0.0649  0.2345  2 Cr 1.72-1.75
N  0.3767  0.6233  0.0000  2 Cr 1.73
N  0.5951  0.8156  0.4519  2 Cr 1.73-1.74
N  0.7984  0.0512  0.1911  2 Cr 1.73-1.77
N  0.9351  0.6832  0.7655  2 Cr 1.72-1.75
N  0.9488  0.2016  0.8089  2 Cr 1.73-1.77

***

Compound: Gd2Nb2N2O5
Source: Materials Project
Functional: PBE
Structure: optimized geometry

Output
The raw total energy comes out at -10.602 eV/atom. Its theoretical density is 6.87 Mg/m³. Its space-group type is P1, No. 1. The calculation puts the volume at 588.2 Å³/cell.

Cell: 5.5453 7.8932 13.5889 Å, 98.49 90.61 90.30°
With the nearest neighbours (Å) after each atom.
Fractional coordinates of all 44 atoms:
Gd  0.0000  0.0000  0.0000  2 N 2.32-2.41, 3 O 2.46-2.59
Gd  0.0041  0.1086  0.4757  4 O 2.30-2.53, 2 N 2.44-2.55
Gd  0.0741  0.4632  0.9564  3 N 2.36-2.42, 4 O 2.40-2.64
Gd  0.4762  0.0597  0.2659  5 O 2.29-2.55, 2 N 2.42
Gd  0.4855  0.6767  0.7768  5 O 2.40-2.63, 1 N 2.41
Gd  0.4951  0.5546  0.3089  2 N 2.30-2.42, 3 O 2.33-2.58
Gd  0.5563  0.1976  0.8279  2 O 2.34-2.54, 4 N 2.38-2.60
Gd  0.9779  0.6133  0.5219  8 O 2.31-2.57
Nb  0.0025  0.9341  0.7187  2 O 1.89-1.95, 1 N 1.91
Nb  0.0089  0.4061  0.7165  2 N 1.89-2.01, 1 O 1.96
Nb  0.4866  0.3491  0.5012  2 N 1.97-2.07, 3 O 2.02-2.06
Nb  0.4958  0.8673  0.5124  4 O 1.92-2.11, 1 N 1.96
Nb  0.5166  0.7461  0.0654  4 O 1.84-2.04
Nb  0.5186  0.2593  0.0658  2 N 1.88-1.92, 1 O 2.10
Nb  0.9854  0.3052  0.2703  1 O 1.90, 2 N 1.96-2.04
Nb  0.9977  0.7957  0.2720  1 N 1.91, 3 O 1.91-2.04
N  0.0645  0.5599  0.2771  2 Nb 1.91-2.04
N  0.2726  0.2823  0.3758  2 Nb 2.07-2.16
N  0.2784  0.4180  0.8031  1 Nb 1.89
N  0.2837  0.1962  0.9617  1 Nb 1.92
N  0.5709  0.1086  0.5073  2 Nb 1.96-1.97
N  0.6564  0.3144  0.2166  2 Nb 1.96-2.16
N  0.7819  0.2553  0.9793  1 Nb 1.88
N  0.9054  0.1587  0.7003  2 Nb 1.91-2.01
O  0.1041  0.6593  0.6905  2 Nb 2.14-2.22, 2 Gd 2.36-2.40
O  0.1589  0.9020  0.5664  2 Nb 2.02-2.23
O  0.1599  0.3548  0.5724  2 Nb 2.06-2.12
O  0.1689  0.1919  0.1631  1 Nb 1.90
O  0.1858  0.8444  0.1621  1 Nb 1.91
O  0.2623  0.8888  0.3712  1 Nb 2.04
O  0.3138  0.7504  0.9492  1 Nb 1.93
O  0.3176  0.9558  0.7742  1 Nb 1.89
O  0.3775  0.6117  0.4746  2 Nb 2.11-2.24, 2 Gd 2.31-2.33
O  0.3969  0.5137  0.0825  2 Nb 1.99-2.10
O  0.5967  0.0020  0.0888  2 Nb 2.04-2.15
O  0.6546  0.7632  0.2169  2 Nb 2.04-2.17
O  0.6752  0.4724  0.6188  1 Nb 2.02
O  0.6880  0.8217  0.6242  1 Nb 1.92
O  0.7640  0.7836  0.4163  1 Nb 2.04
O  0.7724  0.3950  0.4171  1 Nb 2.03
O  0.7814  0.4776  0.8234  1 Nb 1.96
O  0.8100  0.9146  0.8355  1 Nb 1.95
O  0.8152  0.7013  0.0100  1 Nb 1.84
O  0.8739  0.0616  0.3130  2 Nb 2.18-2.21, 2 Gd 2.29-2.30

***

Compound: KU2H5C4O15
Source: Materials Project
Functional: PBE
Structure: optimized geometry

Output
The raw total energy comes out at -7.362 eV/atom. Its theoretical density is 3.56 Mg/m³. Its space-group type is P2_1/m, No. 11. The calculation puts the volume at 753.3 Å³/cell.

Cell: 5.8157 13.9835 9.3542 Å, 90.00 98.00 90.00°
With the nearest neighbours (Å) after each atom.
Fractional coordinates of all 54 atoms:
K  0.1928  0.2500  0.0945  8 O 2.86-3.12
K  0.8072  0.7500  0.9055  8 O 2.86-3.12
U  0.2869  0.5932  0.2645  2 O 1.80-1.81
U  0.2869  0.9068  0.2645  2 O 1.80-1.81
U  0.7131  0.0932  0.7355  2 O 1.80-1.81
U  0.7131  0.4068  0.7355  2 O 1.80-1.81
H  0.2014  0.1947  0.4303  1 O 0.98
H  0.2014  0.3053  0.4303  1 O 0.98
H  0.2496  0.6956  0.6999  1 O 0.98
H  0.2496  0.8044  0.6999  1 O 0.98
H  0.4894  0.2500  0.5910  1 O 1.01
H  0.5106  0.7500  0.4090  1 O 1.01
H  0.7504  0.1956  0.3001  1 O 0.98
H  0.7504  0.3044  0.3001  1 O 0.98
H  0.7986  0.6947  0.5697  1 O 0.98
H  0.7986  0.8053  0.5697  1 O 0.98
C  0.0123  0.5466  0.5426  2 O 1.26-1.27
C  0.0123  0.9534  0.5426  2 O 1.26-1.27
C  0.4555  0.0495  0.0176  2 O 1.26-1.27
C  0.4555  0.4505  0.0176  2 O 1.26-1.27
C  0.5445  0.5495  0.9824  2 O 1.26-1.27
C  0.5445  0.9505  0.9824  2 O 1.26-1.27
C  0.9877  0.0466  0.4574  2 O 1.26-1.27
C  0.9877  0.4534  0.4574  2 O 1.26-1.27
O  0.0246  0.6304  0.1514  1 U 1.81
O  0.0246  0.8696  0.1514  1 U 1.81
O  0.0755  0.0495  0.3412  1 C 1.26
O  0.0755  0.4505  0.3412  1 C 1.26
O  0.1165  0.6150  0.4892  1 C 1.27
O  0.1165  0.8850  0.4892  1 C 1.27
O  0.2494  0.7500  0.7654  2 H 0.98
O  0.3043  0.2500  0.4306  2 H 0.98
O  0.3365  0.0542  0.1207  1 C 1.26
O  0.3365  0.4458  0.1207  1 C 1.26
O  0.3848  0.7500  0.3232  1 H 1.01
O  0.4438  0.0587  0.6281  1 U 1.80
O  0.4438  0.4413  0.6281  1 U 1.80
O  0.4911  0.6184  0.0594  1 C 1.27
O  0.4911  0.8816  0.0594  1 C 1.27
O  0.5089  0.1184  0.9406  1 C 1.27
O  0.5089  0.3816  0.9406  1 C 1.27
O  0.5562  0.5587  0.3719  1 U 1.80
O  0.5562  0.9413  0.3719  1 U 1.80
O  0.6152  0.2500  0.6768  1 H 1.01
O  0.6635  0.5542  0.8793  1 C 1.26
O  0.6635  0.9458  0.8793  1 C 1.26
O  0.6957  0.7500  0.5694  2 H 0.98
O  0.7506  0.2500  0.2346  2 H 0.98
O  0.8835  0.1150  0.5108  1 C 1.27
O  0.8835  0.3850  0.5108  1 C 1.27
O  0.9245  0.5495  0.6588  1 C 1.26
O  0.9245  0.9505  0.6588  1 C 1.26
O  0.9754  0.1304  0.8486  1 U 1.81
O  0.9754  0.3696  0.8486  1 U 1.81